1.
# Dy3Al5O12 | the Materials Project | GGA-PBE | optimized geometry
# Final energy in eV per atom: -7.88
# ΔH_f (0 K) in eV per atom: -3.70
data_Dy3Al5O12
_symmetry_space_group_name_H-M 'I a -3 d'
_symmetry_Int_Tables_number 230
_symmetry_space_group_name_Hall '-I 4bd 2c 3'
_cell_length_a 12.116
_cell_length_b 12.116
_cell_length_c 12.116
_cell_angle_alpha 90.00
_cell_angle_beta 90.00
_cell_angle_gamma 90.00
loop_
_atom_site_label
_atom_site_fract_x
_atom_site_fract_y
_atom_site_fract_z
_atom_site_occupancy
Dy1 0.000 0.250 0.125 1
Al1 0.000 0.000 0.000 1
Al2 0.000 0.250 0.375 1
O1 0.030 0.051 0.649 1

=====

2.
# Dy4Al2O9 | the Materials Project | GGA-PBE | optimized geometry
# Final energy in eV per atom: -8.11
# Spin magnetization in Bohr magnetons per cell: 0.0
# ΔH_f (0 K) in eV per atom: -3.83
data_Dy4Al2O9
_symmetry_space_group_name_H-M 'P 1 21/c 1'
_symmetry_Int_Tables_number 14
_cell_length_a 7.450
_cell_length_b 10.592
_cell_length_c 11.193
_cell_angle_alpha 90.00
_cell_angle_beta 108.66
_cell_angle_gamma 90.00
loop_
_symmetry_equiv_pos_as_xyz
'x,y,z'
'-x,-y,-z'
'-x,y+1/2,-z+1/2'
'x,-y+1/2,z+1/2'
loop_
_atom_site_label
_atom_site_fract_x
_atom_site_fract_y
_atom_site_fract_z
_atom_site_occupancy
Dy1 0.023 0.092 0.307 1
Dy2 0.163 0.622 0.587 1
Dy3 0.337 0.124 0.934 1
Dy4 0.477 0.606 0.215 1
Al1 0.218 0.186 0.628 1
Al2 0.346 0.683 0.886 1
O1 0.071 0.234 0.480 1
O2 0.077 0.506 0.394 1
O3 0.212 0.730 0.253 1
O4 0.216 0.024 0.661 1
O5 0.233 0.232 0.270 1
O6 0.301 0.526 0.832 1
O7 0.361 0.729 0.039 1
O8 0.433 0.245 0.615 1
O9 0.434 0.509 0.605 1

=====

3.
# Dy3Al12Os4 | the Materials Project | GGA-PBE | optimized geometry
# Final energy in eV per atom: -6.05
# ΔH_f (0 K) in eV per atom: -0.59
data_Dy3Al12Os4
_symmetry_space_group_name_H-M 'P 63/m m c'
_symmetry_Int_Tables_number 194
_symmetry_space_group_name_Hall '-P 6c 2c'
_cell_length_a 8.8432
_cell_length_b 8.8432
_cell_length_c 9.5681
_cell_angle_alpha 90.00
_cell_angle_beta 90.00
_cell_angle_gamma 120.00
loop_
_atom_site_label
_atom_site_fract_x
_atom_site_fract_y
_atom_site_fract_z
_atom_site_occupancy
Dy1 0.1932 0.3865 0.2500 1
Al1 0.0000 0.0000 0.2500 1
Al2 0.1200 0.5600 0.7500 1
Al3 0.1627 0.3254 0.5758 1
Al4 0.3333 0.6667 0.0146 1
Os1 0.0000 0.0000 0.0000 1
Os2 0.0000 0.5000 0.0000 1

=====

4.
# Dy4Al24Pd9 | the Materials Project | GGA-PBE | optimized geometry
# Final energy in eV per atom: -4.90
# ΔH_f (0 K) in eV per atom: -0.71
data_Dy4Al24Pd9
_symmetry_space_group_name_H-M 'P -1'
_symmetry_Int_Tables_number 2
_cell_length_a 7.479
_cell_length_b 7.529
_cell_length_c 13.246
_cell_angle_alpha 84.88
_cell_angle_beta 79.39
_cell_angle_gamma 60.45
loop_
_symmetry_equiv_pos_as_xyz
'x,y,z'
'-x,-y,-z'
loop_
_atom_site_label
_atom_site_fract_x
_atom_site_fract_y
_atom_site_fract_z
_atom_site_occupancy
Dy1 0.062 0.331 0.309 1
Dy2 0.268 0.998 0.691 1
Al1 0.019 0.666 0.445 1
Al2 0.119 0.665 0.170 1
Al3 0.146 0.333 0.058 1
Al4 0.186 0.001 0.941 1
Al5 0.193 0.868 0.315 1
Al6 0.232 0.659 0.830 1
Al7 0.317 0.667 0.546 1
Al8 0.353 0.001 0.445 1
Al9 0.396 0.459 0.316 1
Al10 0.398 0.337 0.683 1
Al11 0.443 0.994 0.170 1
Al12 0.479 0.667 0.061 1
Pd1 0.000 0.000 0.500 1
Pd2 0.113 0.006 0.138 1
Pd3 0.206 0.333 0.862 1
Pd4 0.328 0.329 0.500 1
Pd5 0.453 0.326 0.137 1

=====

5.
# DyAlPd | the Materials Project | GGA-PBE | optimized geometry
# Final energy in eV per atom: -5.39
# ΔH_f (0 K) in eV per atom: -0.88
data_DyAlPd
_symmetry_space_group_name_H-M 'P n m a'
_symmetry_Int_Tables_number 62
_cell_length_a 6.895
_cell_length_b 4.462
_cell_length_c 7.819
_cell_angle_alpha 90.00
_cell_angle_beta 90.00
_cell_angle_gamma 90.00
loop_
_symmetry_equiv_pos_as_xyz
'x,y,z'
'-x,-y,-z'
'-x+1/2,-y,z+1/2'
'x+1/2,y,-z+1/2'
'x+1/2,-y+1/2,-z+1/2'
'-x+1/2,y+1/2,z+1/2'
'-x,y+1/2,-z'
'x,-y+1/2,z'
loop_
_atom_site_label
_atom_site_fract_x
_atom_site_fract_y
_atom_site_fract_z
_atom_site_occupancy
Dy1 0.034 0.250 0.179 1
Al1 0.143 0.250 0.560 1
Pd1 0.228 0.750 0.379 1

=====

6.
# Dy2Al9Pd3 | the Materials Project | GGA-PBE | optimized geometry
# Final energy in eV per atom: -4.87
# Spin magnetization in Bohr magnetons per cell: 0.0
# ΔH_f (0 K) in eV per atom: -0.69
data_Dy2Al9Pd3
_symmetry_space_group_name_H-M 'C m c m'
_symmetry_Int_Tables_number 63
_symmetry_space_group_name_Hall '-C 2c 2'
_cell_length_a 13.250
_cell_length_b 7.697
_cell_length_c 9.487
_cell_angle_alpha 90.00
_cell_angle_beta 90.00
_cell_angle_gamma 90.00
loop_
_atom_site_label
_atom_site_fract_x
_atom_site_fract_y
_atom_site_fract_z
_atom_site_occupancy
Dy1 0.162 0.168 0.250 1
Al1 0.000 0.128 0.750 1
Al2 0.000 0.334 0.060 1
Al3 0.104 0.442 0.750 1
Al4 0.167 0.167 0.577 1
Pd1 0.000 0.000 0.000 1
Pd2 0.171 0.500 0.000 1

=====

7.
# PmDyAl2 | the Materials Project | GGA-PBE | optimized geometry
# Final energy in eV per atom: -4.59
# ΔH_f (0 K) in eV per atom: -0.38
data_PmDyAl2
_symmetry_space_group_name_H-M 'F m -3 m'
_symmetry_Int_Tables_number 225
_symmetry_space_group_name_Hall '-F 4 2 3'
_cell_length_a 7.288
_cell_length_b 7.288
_cell_length_c 7.288
_cell_angle_alpha 90.00
_cell_angle_beta 90.00
_cell_angle_gamma 90.00
loop_
_atom_site_label
_atom_site_fract_x
_atom_site_fract_y
_atom_site_fract_z
_atom_site_occupancy
Pm1 0.000 0.000 0.000 1
Dy1 0.000 0.000 0.500 1
Al1 0.250 0.250 0.250 1

=====

8.
# PrDyAl4 | the Materials Project | GGA-PBE | optimized geometry
# Final energy in eV per atom: -4.56
# ΔH_f (0 K) in eV per atom: -0.49
data_PrDyAl4
_symmetry_space_group_name_H-M 'F -4 3 m'
_symmetry_Int_Tables_number 216
_symmetry_space_group_name_Hall 'F -4 2 3'
_cell_length_a 7.979
_cell_length_b 7.979
_cell_length_c 7.979
_cell_angle_alpha 90.00
_cell_angle_beta 90.00
_cell_angle_gamma 90.00
loop_
_atom_site_label
_atom_site_fract_x
_atom_site_fract_y
_atom_site_fract_z
_atom_site_occupancy
Pr1 0.000 0.000 0.000 1
Dy1 0.250 0.250 0.750 1
Al1 0.125 0.125 0.375 1

=====

9.
# DyAlPt | the Materials Project | GGA-PBE | optimized geometry
# Final energy in eV per atom: -5.96
# ΔH_f (0 K) in eV per atom: -1.15
data_DyAlPt
_symmetry_space_group_name_H-M 'P n m a'
_symmetry_Int_Tables_number 62
_cell_length_a 6.891
_cell_length_b 4.437
_cell_length_c 7.742
_cell_angle_alpha 90.00
_cell_angle_beta 90.00
_cell_angle_gamma 90.00
loop_
_symmetry_equiv_pos_as_xyz
'x,y,z'
'-x,-y,-z'
'-x+1/2,-y,z+1/2'
'x+1/2,y,-z+1/2'
'x+1/2,-y+1/2,-z+1/2'
'-x+1/2,y+1/2,z+1/2'
'-x,y+1/2,-z'
'x,-y+1/2,z'
loop_
_atom_site_label
_atom_site_fract_x
_atom_site_fract_y
_atom_site_fract_z
_atom_site_occupancy
Dy1 0.031 0.250 0.181 1
Al1 0.148 0.250 0.563 1
Pt1 0.224 0.750 0.383 1

=====

10.
# Dy2Al6Si4Pt | the Materials Project | GGA-PBE | optimized geometry
# Final energy in eV per atom: -5.09
# Spin magnetization in Bohr magnetons per cell: 0.0
# ΔH_f (0 K) in eV per atom: -0.52
data_Dy2Al6Si4Pt
_symmetry_space_group_name_H-M 'R -3 m'
_symmetry_Int_Tables_number 166
_symmetry_space_group_name_Hall '-R 3 2"'
_cell_length_a 4.1703
_cell_length_b 4.1703
_cell_length_c 50.6337
_cell_angle_alpha 90.00
_cell_angle_beta 90.00
_cell_angle_gamma 120.00
loop_
_atom_site_label
_atom_site_fract_x
_atom_site_fract_y
_atom_site_fract_z
_atom_site_occupancy
Dy1 0.0000 0.0000 0.0658 1
Al1 0.0000 0.0000 0.1825 1
Al2 0.0000 0.0000 0.3148 1
Al3 0.0000 0.0000 0.4496 1
Si1 0.0000 0.0000 0.2343 1
Si2 0.0000 0.0000 0.3650 1
Pt1 0.0000 0.0000 0.5000 1

=====

11.
# Dy3Al12Ru4 | the Materials Project | GGA-PBE | optimized geometry
# Final energy in eV per atom: -5.71
# ΔH_f (0 K) in eV per atom: -0.66
data_Dy3Al12Ru4
_symmetry_space_group_name_H-M 'P 63/m m c'
_symmetry_Int_Tables_number 194
_symmetry_space_group_name_Hall '-P 6c 2c'
_cell_length_a 8.7992
_cell_length_b 8.7992
_cell_length_c 9.5537
_cell_angle_alpha 90.00
_cell_angle_beta 90.00
_cell_angle_gamma 120.00
loop_
_atom_site_label
_atom_site_fract_x
_atom_site_fract_y
_atom_site_fract_z
_atom_site_occupancy
Dy1 0.1930 0.3861 0.2500 1
Al1 0.0000 0.0000 0.2500 1
Al2 0.1222 0.5611 0.7500 1
Al3 0.1622 0.3244 0.5764 1
Al4 0.3333 0.6667 0.0156 1
Ru1 0.0000 0.0000 0.0000 1
Ru2 0.0000 0.5000 0.0000 1

=====

> Which formula does entry 9 have?

DyAlPt